This record from Materials Project describes a relaxed V3H6O10 crystal. The functional is GGA+U.

Summary:
E_form in eV per atom: -1.790
Crystal system: triclinic
Energy with MP2020 corrections in Ry per atom: -0.5071
Energy relative to the lowest polymorph listed for this composition in meV/atom: 7
DFT total energy in eV/atom: -6.270
ρ in g cm⁻³: 2.173
Space-group type: P1, No. 1

Unit cell a=6.030 b=8.982 c=9.052 alpha=90.38 beta=96.02 gamma=91.60
Sites, in units of the cell vectors:
V 0.250 0.495 0.488
V 0.278 0.999 0.992
V 0.259 0.141 0.631
V 0.299 0.864 0.359
V 0.276 0.625 0.849
V 0.272 0.366 0.125
H 0.646 0.355 0.453
H 0.685 0.152 0.959
H 0.681 0.855 0.480
H 0.668 0.642 0.952
H 0.878 0.925 0.681
H 0.885 0.754 0.649
H 0.888 0.277 0.431
H 0.687 0.310 0.282
H 0.681 0.331 0.963
H 0.654 0.233 0.796
H 0.734 0.583 0.165
H 0.836 0.747 0.155
O 0.525 0.480 0.511
O 0.554 0.017 0.006
O 0.125 0.301 0.557
O 0.192 0.693 0.402
O 0.208 0.798 0.904
O 0.186 0.186 0.075
O 0.155 0.587 0.671
O 0.162 0.414 0.288
O 0.200 0.909 0.180
O 0.159 0.075 0.792
O 0.532 0.183 0.668
O 0.592 0.864 0.376
O 0.565 0.609 0.857
O 0.558 0.377 0.147
O 0.216 0.997 0.490
O 0.181 0.489 0.975
O 0.789 0.840 0.637
O 0.725 0.276 0.392
O 0.739 0.248 0.907
O 0.801 0.654 0.100

---

This record from Materials Project describes a relaxed YV5H24O26 crystal. The functional is GGA+U.

Summary:
E_form in eV per atom: -1.716
Crystal system: triclinic
Energy with MP2020 corrections in Ry per atom: -0.4700
DFT total energy in eV/atom: -5.924
ρ in g cm⁻³: 2.352
Space-group type: P-1, No. 2

Unit cell a=9.509 b=9.940 c=24.006 alpha=80.37 beta=81.62 gamma=88.97
Sites, in units of the cell vectors:
Y 0.932 0.024 0.876
Y 0.068 0.976 0.124
Y 0.377 0.493 0.620
Y 0.623 0.507 0.380
V 0.483 0.282 0.946
V 0.517 0.718 0.054
V 0.608 0.276 0.062
V 0.392 0.724 0.938
V 0.221 0.465 0.923
V 0.779 0.535 0.077
V 0.340 0.463 0.038
V 0.660 0.537 0.962
V 0.475 0.461 0.150
V 0.525 0.539 0.850
V 0.936 0.194 0.569
V 0.064 0.806 0.431
V 0.149 0.235 0.455
V 0.851 0.765 0.545
V 0.659 0.016 0.577
V 0.341 0.984 0.423
V 0.872 0.053 0.462
V 0.128 0.947 0.538
V 0.098 0.096 0.351
V 0.902 0.904 0.649
H 0.080 0.259 0.052
H 0.920 0.741 0.948
H 0.918 0.246 0.076
H 0.082 0.754 0.924
H 0.273 0.194 0.153
H 0.727 0.806 0.847
H 0.161 0.149 0.208
H 0.839 0.851 0.792
H 0.887 0.154 0.199
H 0.113 0.846 0.801
H 0.869 0.001 0.231
H 0.131 0.999 0.769
H 0.794 0.250 0.947
H 0.206 0.750 0.053
H 0.951 0.286 0.921
H 0.049 0.714 0.079
H 0.651 0.092 0.830
H 0.349 0.908 0.170
H 0.695 0.230 0.846
H 0.305 0.770 0.154
H 0.142 0.229 0.807
H 0.858 0.771 0.193
H 0.995 0.311 0.811
H 0.005 0.689 0.189
H 0.344 0.987 0.049
H 0.656 0.013 0.951
H 0.313 0.143 0.048
H 0.687 0.857 0.952
H 0.181 0.148 0.924
H 0.819 0.852 0.076
H 0.207 0.991 0.929
H 0.793 0.009 0.071
H 0.563 0.306 0.693
H 0.437 0.694 0.307
H 0.407 0.304 0.729
H 0.593 0.696 0.271
H 0.401 0.209 0.586
H 0.599 0.791 0.414
H 0.257 0.255 0.567
H 0.743 0.745 0.433
H 0.644 0.336 0.576
H 0.356 0.664 0.424
H 0.676 0.494 0.557
H 0.324 0.506 0.443
H 0.792 0.252 0.354
H 0.208 0.748 0.646
H 0.779 0.332 0.292
H 0.221 0.668 0.708
H 0.853 0.367 0.452
H 0.147 0.633 0.548
H 0.888 0.524 0.434
H 0.112 0.476 0.566
H 0.464 0.256 0.446
H 0.536 0.744 0.554
H 0.614 0.245 0.466
H 0.386 0.755 0.534
H 0.175 0.287 0.690
H 0.825 0.713 0.310
H 0.082 0.426 0.683
H 0.918 0.574 0.317
H 0.419 0.412 0.300
H 0.581 0.588 0.700
H 0.392 0.307 0.358
H 0.608 0.693 0.642
H 0.379 0.174 0.812
H 0.621 0.826 0.188
H 0.339 0.328 0.818
H 0.661 0.672 0.182
H 0.444 0.978 0.862
H 0.556 0.022 0.138
H 0.483 0.978 0.794
H 0.517 0.022 0.206
H 0.142 0.493 0.171
H 0.858 0.507 0.829
H 0.099 0.501 0.238
H 0.901 0.499 0.762
H 0.926 0.388 0.210
H 0.074 0.612 0.790
H 0.774 0.375 0.194
H 0.226 0.625 0.806
H 0.117 0.079 0.676
H 0.883 0.921 0.324
H 0.275 0.049 0.688
H 0.725 0.951 0.312
H 0.748 0.219 0.747
H 0.252 0.781 0.253
H 0.792 0.189 0.685
H 0.208 0.811 0.315
H 0.155 0.576 0.316
H 0.845 0.424 0.684
H 0.102 0.421 0.338
H 0.898 0.579 0.662
H 0.441 0.082 0.295
H 0.559 0.918 0.705
H 0.528 0.197 0.252
H 0.472 0.803 0.748
O 0.524 0.120 0.950
O 0.476 0.880 0.050
O 0.298 0.288 0.933
O 0.702 0.712 0.067
O 0.561 0.352 0.873
O 0.439 0.648 0.127
O 0.419 0.284 0.032
O 0.581 0.716 0.968
O 0.659 0.340 0.976
O 0.341 0.660 0.024
O 0.448 0.500 0.952
O 0.552 0.500 0.048
O 0.645 0.112 0.066
O 0.355 0.888 0.934
O 0.515 0.285 0.133
O 0.485 0.715 0.867
O 0.777 0.347 0.073
O 0.223 0.653 0.927
O 0.062 0.436 0.909
O 0.938 0.564 0.091
O 0.334 0.503 0.851
O 0.666 0.497 0.149
O 0.188 0.436 0.009
O 0.812 0.564 0.991
O 0.297 0.439 0.112
O 0.703 0.561 0.888
O 0.410 0.430 0.218
O 0.590 0.570 0.782
O 0.975 0.349 0.577
O 0.025 0.651 0.423
O 0.741 0.187 0.579
O 0.259 0.813 0.421
O 0.950 0.092 0.640
O 0.050 0.908 0.360
O 0.939 0.223 0.482
O 0.061 0.777 0.518
O 0.135 0.139 0.538
O 0.865 0.861 0.462
O 0.090 0.017 0.452
O 0.910 0.983 0.548
O 0.186 0.390 0.464
O 0.814 0.610 0.536
O 0.121 0.258 0.380
O 0.879 0.742 0.620
O 0.330 0.163 0.440
O 0.670 0.837 0.560
O 0.088 0.150 0.284
O 0.912 0.850 0.716
O 0.288 0.053 0.352
O 0.712 0.947 0.648
O 0.489 0.046 0.592
O 0.511 0.954 0.408
O 0.697 0.077 0.492
O 0.303 0.923 0.508
O 0.889 0.110 0.389
O 0.111 0.890 0.611
O 0.009 0.194 0.075
O 0.991 0.806 0.925
O 0.196 0.129 0.170
O 0.804 0.871 0.830
O 0.901 0.058 0.193
O 0.099 0.942 0.807
O 0.881 0.211 0.927
O 0.119 0.789 0.073
O 0.737 0.150 0.830
O 0.263 0.850 0.170
O 0.037 0.218 0.814
O 0.963 0.782 0.186
O 0.264 0.052 0.056
O 0.736 0.948 0.944
O 0.137 0.062 0.919
O 0.863 0.938 0.081
O 0.463 0.333 0.691
O 0.537 0.667 0.309
O 0.337 0.288 0.583
O 0.663 0.712 0.417
O 0.598 0.428 0.574
O 0.402 0.572 0.426
O 0.749 0.333 0.333
O 0.251 0.667 0.667
O 0.813 0.455 0.434
O 0.187 0.545 0.566
O 0.551 0.312 0.447
O 0.449 0.688 0.553
O 0.180 0.388 0.683
O 0.820 0.612 0.317
O 0.443 0.391 0.339
O 0.557 0.609 0.661
O 0.324 0.255 0.797
O 0.676 0.745 0.203
O 0.485 0.034 0.825
O 0.515 0.966 0.175
O 0.065 0.516 0.200
O 0.935 0.484 0.800
O 0.842 0.326 0.218
O 0.158 0.674 0.782
O 0.187 0.091 0.702
O 0.813 0.909 0.298
O 0.740 0.255 0.707
O 0.260 0.745 0.293
O 0.088 0.506 0.311
O 0.912 0.494 0.689
O 0.524 0.098 0.264
O 0.476 0.902 0.736

---

This record from Materials Project describes a relaxed V2Zn3H2O11 crystal. The functional is GGA+U.

Summary:
E_form in eV per atom: -1.475
Crystal system: monoclinic
Energy with MP2020 corrections in Ry per atom: -0.4480
DFT total energy in eV/atom: -5.487
ρ in g cm⁻³: 3.379
Space-group type: C2, No. 5

Unit cell a=6.130 b=6.130 c=7.209 alpha=89.94 beta=89.94 gamma=59.72
Sites, in units of the cell vectors:
V 0.000 0.000 0.250
V 0.000 0.000 0.750
Zn 0.499 0.501 0.500
Zn 0.999 0.501 0.499
Zn 0.499 0.001 0.501
H 0.664 0.668 0.766
H 0.332 0.336 0.234
O 0.152 0.155 0.668
O 0.691 0.156 0.669
O 0.155 0.691 0.670
O 0.845 0.848 0.332
O 0.309 0.845 0.330
O 0.844 0.309 0.331
O 0.665 0.668 0.628
O 0.332 0.335 0.372
O 0.999 0.001 0.000
O 0.747 0.628 0.002
O 0.372 0.253 0.998

---

This record from Materials Project describes a relaxed VZn2HO5 crystal. The functional is GGA+U.

Summary:
E_form in eV per atom: -1.928
Crystal system: orthorhombic
Energy with MP2020 corrections in Ry per atom: -0.4662
DFT total energy in eV/atom: -5.773
ρ in g cm⁻³: 4.253
Space-group type: Pnma, No. 62

Unit cell a=6.142 b=9.034 c=14.792 alpha=90.00 beta=90.00 gamma=90.00
Sites, in units of the cell vectors:
V 0.250 0.689 0.925
V 0.250 0.811 0.425
V 0.750 0.311 0.075
V 0.750 0.189 0.575
V 0.750 0.020 0.839
V 0.750 0.480 0.339
V 0.250 0.980 0.161
V 0.250 0.520 0.661
Zn 0.250 0.088 0.925
Zn 0.250 0.412 0.425
Zn 0.750 0.912 0.075
Zn 0.750 0.588 0.575
Zn 0.750 0.660 0.794
Zn 0.750 0.840 0.294
Zn 0.250 0.340 0.206
Zn 0.250 0.160 0.706
Zn 0.995 0.375 0.860
Zn 0.505 0.125 0.360
Zn 0.495 0.625 0.140
Zn 0.005 0.875 0.640
Zn 0.005 0.625 0.140
Zn 0.495 0.875 0.640
Zn 0.505 0.375 0.860
Zn 0.995 0.125 0.360
H 0.250 0.344 0.002
H 0.250 0.156 0.502
H 0.750 0.656 0.998
H 0.750 0.844 0.498
H 0.750 0.400 0.714
H 0.750 0.100 0.214
H 0.250 0.600 0.286
H 0.250 0.900 0.786
O 0.750 0.874 0.753
O 0.750 0.626 0.253
O 0.250 0.126 0.247
O 0.250 0.374 0.747
O 0.250 0.875 0.899
O 0.250 0.625 0.399
O 0.750 0.125 0.101
O 0.750 0.375 0.601
O 0.750 0.343 0.958
O 0.750 0.157 0.458
O 0.250 0.657 0.042
O 0.250 0.843 0.542
O 0.013 0.611 0.879
O 0.487 0.889 0.379
O 0.513 0.389 0.121
O 0.987 0.111 0.621
O 0.987 0.389 0.121
O 0.513 0.111 0.621
O 0.487 0.611 0.879
O 0.013 0.889 0.379
O 0.750 0.934 0.940
O 0.750 0.566 0.440
O 0.250 0.066 0.060
O 0.250 0.434 0.560
O 0.986 0.132 0.833
O 0.514 0.368 0.333
O 0.486 0.868 0.167
O 0.014 0.632 0.667
O 0.014 0.868 0.167
O 0.486 0.632 0.667
O 0.514 0.132 0.833
O 0.986 0.368 0.333
O 0.250 0.314 0.938
O 0.250 0.186 0.438
O 0.750 0.686 0.062
O 0.750 0.814 0.562
O 0.750 0.434 0.778
O 0.750 0.066 0.278
O 0.250 0.566 0.222
O 0.250 0.934 0.722

---

This record from Materials Project describes a relaxed H2W2O7 crystal. The functional is GGA+U.

Summary:
E_form in eV per atom: -1.707
Crystal system: triclinic
Energy with MP2020 corrections in Ry per atom: -0.5754
Energy relative to the lowest polymorph listed for this composition in meV/atom: 182
DFT total energy in eV/atom: -6.584
ρ in g cm⁻³: 5.435
Space-group type: P1, No. 1

Unit cell a=6.943 b=7.055 c=7.238 alpha=111.46 beta=90.47 gamma=114.68
Sites, in units of the cell vectors:
H 0.611 0.631 0.001
H 0.286 0.822 0.388
H 0.376 0.138 0.060
H 0.871 0.301 0.772
W 0.963 0.554 0.525
W 0.058 0.073 0.556
W 0.472 0.521 0.424
W 0.960 0.957 0.009
O 0.726 0.651 0.919
O 0.152 0.814 0.436
O 0.126 0.114 0.820
O 0.674 0.362 0.400
O 0.067 0.732 0.797
O 0.483 0.608 0.221
O 0.280 0.141 0.158
O 0.911 0.276 0.638
O 0.931 0.982 0.278
O 0.470 0.745 0.635
O 0.814 0.103 0.995
O 0.322 0.281 0.557
O 0.821 0.763 0.533
O 0.126 0.431 0.379

---

This record from Materials Project describes a relaxed H2W2O7 crystal. The functional is GGA+U.

Summary:
E_form in eV per atom: -1.888
Crystal system: orthorhombic
Energy with MP2020 corrections in Ry per atom: -0.5887
Energy relative to the lowest polymorph listed for this composition in meV/atom: 0
DFT total energy in eV/atom: -6.766
ρ in g cm⁻³: 5.648
Space-group type: Fdd2, No. 43

Unit cell a=7.373 b=7.371 c=7.371 alpha=60.02 beta=59.99 gamma=59.98
Sites, in units of the cell vectors:
H 0.817 0.778 0.836
H 0.836 0.569 0.817
H 0.681 0.414 0.472
H 0.472 0.433 0.681
W 0.249 0.001 0.748
W 0.249 0.502 0.249
W 0.748 0.001 0.249
W 0.249 0.001 0.249
O 0.942 0.058 0.308
O 0.308 0.692 0.942
O 0.309 0.691 0.309
O 0.943 0.057 0.943
O 0.308 0.057 0.943
O 0.943 0.692 0.308
O 0.558 0.942 0.192
O 0.192 0.308 0.558
O 0.193 0.307 0.193
O 0.559 0.941 0.559
O 0.193 0.942 0.558
O 0.558 0.307 0.193
O 0.883 0.617 0.883
O 0.633 0.367 0.633